[1]
LuNiSn2 | the Materials Project | GGA-PBE | optimized geometry; total magnetization = 0.00 μB/f.u.; symmetry = No. 62; energy relative to the elements = -49.60 kJ per mole of atoms; crystal system = orthorhombic
1.0
16.0858 0.0000 0.0000
0.0000 4.4088 0.0000
0.0000 0.0000 14.4234
Lu Ni Sn
12 12 24
direct
0.1291 0.2500 0.2218 Lu
0.1484 0.7500 0.5986 Lu
0.1507 0.2500 0.9696 Lu
0.3493 0.7500 0.4696 Lu
0.3516 0.2500 0.0986 Lu
0.3709 0.7500 0.7218 Lu
0.6291 0.2500 0.2782 Lu
0.6484 0.7500 0.9014 Lu
0.6507 0.2500 0.5304 Lu
0.8493 0.7500 0.0304 Lu
0.8516 0.2500 0.4014 Lu
0.8709 0.7500 0.7782 Lu
0.0538 0.7500 0.1070 Ni
0.1886 0.2500 0.7390 Ni
0.1997 0.2500 0.4501 Ni
0.3003 0.7500 0.9501 Ni
0.3114 0.7500 0.2390 Ni
0.4462 0.2500 0.6070 Ni
0.5538 0.7500 0.3930 Ni
0.6886 0.2500 0.7610 Ni
0.6997 0.2500 0.0499 Ni
0.8003 0.7500 0.5499 Ni
0.8114 0.7500 0.2610 Ni
0.9462 0.2500 0.8930 Ni
0.0203 0.7500 0.9217 Sn
0.0276 0.2500 0.7331 Sn
0.0415 0.2500 0.4435 Sn
0.1764 0.7500 0.3637 Sn
0.1821 0.7500 0.8196 Sn
0.2151 0.7500 0.1007 Sn
0.2849 0.2500 0.6007 Sn
0.3179 0.2500 0.3196 Sn
0.3236 0.2500 0.8637 Sn
0.4585 0.7500 0.9435 Sn
0.4724 0.7500 0.2331 Sn
0.4797 0.2500 0.4217 Sn
0.5203 0.7500 0.5783 Sn
0.5276 0.2500 0.7669 Sn
0.5415 0.2500 0.0565 Sn
0.6764 0.7500 0.1363 Sn
0.6821 0.7500 0.6804 Sn
0.7151 0.7500 0.3993 Sn
0.7849 0.2500 0.8993 Sn
0.8179 0.2500 0.1804 Sn
0.8236 0.2500 0.6363 Sn
0.9585 0.7500 0.5565 Sn
0.9724 0.7500 0.2669 Sn
0.9797 0.2500 0.0783 Sn


[2]
LuNi4Sn | the Materials Project | GGA-PBE | optimized geometry; total magnetization = 0.02 μB/f.u.; symmetry = No. 216; energy relative to the elements = -39.88 kJ per mole of atoms; crystal system = cubic
1.0
0.0000 3.4955 3.4955
3.4955 0.0000 3.4955
3.4955 3.4955 0.0000
Lu Ni Sn
1 4 1
direct
0.0000 0.0000 0.0000 Lu
0.1256 0.6248 0.6248 Ni
0.6248 0.1256 0.6248 Ni
0.6248 0.6248 0.1256 Ni
0.6248 0.6248 0.6248 Ni
0.2500 0.2500 0.2500 Sn


[3]
Lu3Np | the Materials Project | GGA-PBE | optimized geometry; total magnetization = 5.13 μB/f.u.; symmetry = No. 221; energy relative to the elements = 35.22 kJ per mole of atoms; crystal system = cubic
1.0
4.8320 0.0000 0.0000
0.0000 4.8320 0.0000
0.0000 0.0000 4.8320
Lu Np
3 1
direct
0.0000 0.0000 0.5000 Lu
0.0000 0.5000 0.0000 Lu
0.5000 0.0000 0.0000 Lu
0.5000 0.5000 0.5000 Np


[4]
LuNpO3 | the Materials Project | GGA-PBE | optimized geometry; total magnetization = 4.00 μB/f.u.; symmetry = No. 221; energy relative to the elements = -299.84 kJ per mole of atoms; crystal system = cubic
1.0
4.1984 0.0000 0.0000
0.0000 4.1984 0.0000
0.0000 0.0000 4.1984
Lu Np O
1 1 3
direct
0.0000 0.0000 0.0000 Lu
0.5000 0.5000 0.5000 Np
0.0000 0.0000 0.5000 O
0.0000 0.5000 0.0000 O
0.5000 0.0000 0.0000 O


[5]
LuNpRu2 | the Materials Project | GGA-PBE | optimized geometry; total magnetization = 2.87 μB/f.u.; symmetry = No. 225; energy relative to the elements = -28.50 kJ per mole of atoms; crystal system = cubic
1.0
0.0000 3.3388 3.3388
3.3388 0.0000 3.3388
3.3388 3.3388 0.0000
Lu Np Ru
1 1 2
direct
0.0000 0.0000 0.0000 Lu
0.5000 0.5000 0.5000 Np
0.2500 0.2500 0.2500 Ru
0.7500 0.7500 0.7500 Ru


[6]
LuPO2 | the Materials Project | GGA-PBE | optimized geometry; total magnetization = 0.01 μB/f.u.; symmetry = No. 141; energy relative to the elements = -190.78 kJ per mole of atoms; crystal system = tetragonal
1.0
-3.1355 3.1355 5.5713
3.1355 -3.1355 5.5713
3.1355 3.1355 -5.5713
Lu P O
4 4 8
direct
0.0000 0.0000 0.0000 Lu
0.0000 0.0000 0.5000 Lu
0.0000 0.5000 0.0000 Lu
0.5000 0.0000 0.5000 Lu
0.0000 0.5000 0.5000 P
0.5000 0.0000 0.0000 P
0.5000 0.5000 0.0000 P
0.5000 0.5000 0.5000 P
0.2003 0.2051 0.9952 O
0.2051 0.2003 0.4952 O
0.2051 0.7099 0.0048 O
0.2901 0.7949 0.4952 O
0.7099 0.2051 0.5048 O
0.7949 0.2901 0.9952 O
0.7949 0.7997 0.5048 O
0.7997 0.7949 0.0048 O


[7]
Lu2P4O13 | the Materials Project | GGA-PBE | optimized geometry; total magnetization = 0.00 μB/f.u.; symmetry = No. 15; energy relative to the elements = -301.92 kJ per mole of atoms; crystal system = monoclinic; ΔE to the lowest computed polymorph = 0.043 eV/atom
1.0
5.9575 -3.3541 0.0000
5.9575 3.3541 0.0000
-3.6135 0.0000 12.3349
Lu P O
4 8 26
direct
0.1947 0.1997 0.0522 Lu
0.1997 0.1947 0.5522 Lu
0.8003 0.8053 0.4478 Lu
0.8053 0.8003 0.9478 Lu
0.2601 0.2734 0.3401 P
0.2734 0.2601 0.8401 P
0.3370 0.6384 0.1326 P
0.3616 0.6630 0.3674 P
0.6384 0.3370 0.6326 P
0.6630 0.3616 0.8674 P
0.7266 0.7399 0.1599 P
0.7399 0.7266 0.6599 P
0.0605 0.4275 0.4070 O
0.0730 0.4251 0.9057 O
0.1705 0.8167 0.0573 O
0.1833 0.8295 0.4427 O
0.1935 0.2049 0.2219 O
0.2049 0.1935 0.7219 O
0.2518 0.7482 0.2500 O
0.3772 0.3955 0.1028 O
0.3955 0.3772 0.6028 O
0.3999 0.4073 0.3471 O
0.4073 0.3999 0.8471 O
0.4251 0.0730 0.4057 O
0.4275 0.0605 0.9070 O
0.5725 0.9395 0.0930 O
0.5749 0.9270 0.5943 O
0.5927 0.6001 0.1529 O
0.6001 0.5927 0.6529 O
0.6045 0.6228 0.3972 O
0.6228 0.6045 0.8972 O
0.7482 0.2518 0.7500 O
0.7951 0.8065 0.2781 O
0.8065 0.7951 0.7781 O
0.8167 0.1705 0.5573 O
0.8295 0.1833 0.9427 O
0.9270 0.5749 0.0943 O
0.9395 0.5725 0.5930 O


[8]
Lu2P4O13 | the Materials Project | GGA-PBE | optimized geometry; total magnetization = 0.01 μB/f.u.; symmetry = No. 14; energy relative to the elements = -306.03 kJ per mole of atoms; crystal system = monoclinic; ΔE to the lowest computed polymorph = 0.000 eV/atom
1.0
8.7440 0.0000 0.0000
0.0000 9.4970 0.0000
-3.8404 0.0000 13.2903
Lu P O
8 16 52
direct
0.0279 0.0034 0.2209 Lu
0.0279 0.4966 0.7209 Lu
0.4464 0.5013 0.7376 Lu
0.4464 0.9987 0.2376 Lu
0.5536 0.0013 0.7624 Lu
0.5536 0.4987 0.2624 Lu
0.9721 0.5034 0.2791 Lu
0.9721 0.9966 0.7791 Lu
0.1443 0.2397 0.4362 P
0.1443 0.2603 0.9362 P
0.2172 0.2046 0.6576 P
0.2172 0.2954 0.1576 P
0.2875 0.7302 0.3457 P
0.2875 0.7698 0.8457 P
0.4959 0.2498 0.4391 P
0.4959 0.2502 0.9391 P
0.5041 0.7498 0.0609 P
0.5041 0.7502 0.5609 P
0.7125 0.2302 0.1543 P
0.7125 0.2698 0.6543 P
0.7828 0.7046 0.8424 P
0.7828 0.7954 0.3424 P
0.8557 0.7397 0.0638 P
0.8557 0.7603 0.5638 P
0.0388 0.1322 0.9116 O
0.0388 0.3678 0.4116 O
0.1102 0.1208 0.3617 O
0.1102 0.3792 0.8617 O
0.1191 0.1281 0.7158 O
0.1191 0.3719 0.2158 O
0.1285 0.1754 0.5400 O
0.1285 0.3246 0.0400 O
0.1370 0.6628 0.3587 O
0.1370 0.8372 0.8587 O
0.2200 0.1320 0.1733 O
0.2200 0.3680 0.6733 O
0.2516 0.6345 0.7790 O
0.2516 0.8655 0.2790 O
0.3279 0.2050 0.9606 O
0.3279 0.2950 0.4606 O
0.3847 0.1474 0.6762 O
0.3847 0.3526 0.1762 O
0.3903 0.6269 0.3086 O
0.3903 0.8731 0.8086 O
0.3921 0.7064 0.9530 O
0.3921 0.7936 0.4530 O
0.4359 0.6237 0.6000 O
0.4359 0.8763 0.1000 O
0.4696 0.1191 0.3754 O
0.4696 0.3809 0.8754 O
0.5304 0.6191 0.1246 O
0.5304 0.8809 0.6246 O
0.5641 0.1237 0.9000 O
0.5641 0.3763 0.4000 O
0.6079 0.2064 0.5470 O
0.6079 0.2936 0.0470 O
0.6097 0.1269 0.1914 O
0.6097 0.3731 0.6914 O
0.6153 0.6474 0.8238 O
0.6153 0.8526 0.3238 O
0.6721 0.7050 0.5394 O
0.6721 0.7950 0.0394 O
0.7484 0.1345 0.7210 O
0.7484 0.3655 0.2210 O
0.7800 0.6320 0.3267 O
0.7800 0.8680 0.8267 O
0.8630 0.1628 0.1413 O
0.8630 0.3372 0.6413 O
0.8715 0.6754 0.9600 O
0.8715 0.8246 0.4600 O
0.8809 0.6281 0.7842 O
0.8809 0.8719 0.2842 O
0.8898 0.6208 0.1383 O
0.8898 0.8792 0.6383 O
0.9612 0.6322 0.5884 O
0.9612 0.8678 0.0884 O


[9]
Lu2P4O13 | the Materials Project | GGA-PBE | optimized geometry; total magnetization = 0.00 μB/f.u.; symmetry = No. 14; energy relative to the elements = -305.38 kJ per mole of atoms; crystal system = monoclinic; ΔE to the lowest computed polymorph = 0.007 eV/atom
1.0
8.5945 0.0000 0.0000
0.0000 9.6596 0.0000
-3.5701 0.0000 13.4824
Lu P O
8 16 52
direct
0.2116 0.0032 0.0120 Lu
0.2116 0.4968 0.5120 Lu
0.2851 0.0007 0.4882 Lu
0.2851 0.4993 0.9882 Lu
0.7149 0.5007 0.0118 Lu
0.7149 0.9993 0.5118 Lu
0.7884 0.5032 0.4880 Lu
0.7884 0.9968 0.9880 Lu
0.0310 0.2184 0.5950 P
0.0310 0.2816 0.0950 P
0.1163 0.2452 0.3151 P
0.1163 0.2548 0.8151 P
0.2377 0.7307 0.1827 P
0.2377 0.7693 0.6827 P
0.4601 0.7182 0.4015 P
0.4601 0.7818 0.9015 P
0.5399 0.2182 0.0985 P
0.5399 0.2818 0.5985 P
0.7623 0.2307 0.3173 P
0.7623 0.2693 0.8173 P
0.8837 0.7452 0.1849 P
0.8837 0.7548 0.6849 P
0.9690 0.7184 0.9050 P
0.9690 0.7816 0.4050 P
0.0108 0.1290 0.0582 O
0.0108 0.3710 0.5582 O
0.0677 0.6894 0.2053 O
0.0677 0.8106 0.7053 O
0.1270 0.1363 0.5375 O
0.1270 0.3637 0.0375 O
0.1267 0.6507 0.9020 O
0.1267 0.8493 0.4020 O
0.1401 0.2223 0.7080 O
0.1401 0.2777 0.2080 O
0.1407 0.1240 0.8750 O
0.1407 0.3760 0.3750 O
0.2286 0.1271 0.3553 O
0.2286 0.3729 0.8553 O
0.2285 0.6252 0.6415 O
0.2285 0.8748 0.1415 O
0.2838 0.6181 0.1205 O
0.2838 0.8819 0.6205 O
0.3600 0.6317 0.4541 O
0.3600 0.8683 0.9541 O
0.3635 0.7287 0.2869 O
0.3635 0.7713 0.7869 O
0.3796 0.1513 0.0964 O
0.3796 0.3487 0.5964 O
0.4826 0.6293 0.9413 O
0.4826 0.8707 0.4413 O
0.5174 0.1293 0.5587 O
0.5174 0.3707 0.0587 O
0.6204 0.6513 0.4036 O
0.6204 0.8487 0.9036 O
0.6365 0.2287 0.2131 O
0.6365 0.2713 0.7131 O
0.6400 0.1317 0.0459 O
0.6400 0.3683 0.5459 O
0.7162 0.1181 0.3795 O
0.7162 0.3819 0.8795 O
0.7715 0.1252 0.8585 O
0.7715 0.3748 0.3585 O
0.7714 0.6271 0.1447 O
0.7714 0.8729 0.6447 O
0.8593 0.6240 0.6250 O
0.8593 0.8760 0.1250 O
0.8599 0.7223 0.7920 O
0.8599 0.7777 0.2920 O
0.8733 0.1507 0.5980 O
0.8733 0.3493 0.0980 O
0.8730 0.6363 0.9625 O
0.8730 0.8637 0.4625 O
0.9323 0.1894 0.2947 O
0.9323 0.3106 0.7947 O
0.9892 0.6290 0.4418 O
0.9892 0.8710 0.9418 O


[10]
RbLuP2O7 | the Materials Project | GGA-PBE | optimized geometry; total magnetization = 0.00 μB/f.u.; symmetry = No. 14; energy relative to the elements = -305.72 kJ per mole of atoms; crystal system = monoclinic
1.0
7.7697 0.0000 0.0000
0.0000 10.8486 0.0000
-2.3249 0.0000 8.3854
Rb Lu P O
4 4 8 28
direct
0.1897 0.1820 0.0591 Rb
0.1897 0.3180 0.5591 Rb
0.8103 0.6820 0.4409 Rb
0.8103 0.8180 0.9409 Rb
0.2359 0.5992 0.2537 Lu
0.2359 0.9008 0.7537 Lu
0.7641 0.0992 0.2463 Lu
0.7641 0.4008 0.7463 Lu
0.1303 0.5988 0.8202 P
0.1303 0.9012 0.3202 P
0.4364 0.6360 0.6860 P
0.4364 0.8640 0.1860 P
0.5636 0.1360 0.8140 P
0.5636 0.3640 0.3140 P
0.8697 0.0988 0.6798 P
0.8697 0.4012 0.1798 P
0.0035 0.5012 0.7232 O
0.0035 0.9988 0.2232 O
0.0783 0.7288 0.7530 O
0.0783 0.7712 0.2530 O
0.1482 0.5905 0.9976 O
0.1482 0.9095 0.4976 O
0.3267 0.5659 0.7972 O
0.3267 0.9341 0.2972 O
0.3334 0.6106 0.5136 O
0.3334 0.8894 0.0136 O
0.3787 0.0762 0.7671 O
0.3787 0.4238 0.2671 O
0.4484 0.7274 0.2322 O
0.4484 0.7726 0.7322 O
0.5516 0.2274 0.2678 O
0.5516 0.2726 0.7678 O
0.6213 0.5762 0.7329 O
0.6213 0.9238 0.2329 O
0.6666 0.1106 0.9864 O
0.6666 0.3894 0.4864 O
0.6733 0.0659 0.7028 O
0.6733 0.4341 0.2028 O
0.8518 0.0905 0.5024 O
0.8518 0.4095 0.0024 O
0.9217 0.2288 0.7470 O
0.9217 0.2712 0.2470 O
0.9965 0.0012 0.7768 O
0.9965 0.4988 0.2768 O


[11]
LuPaO4 | the Materials Project | GGA-PBE | optimized geometry; symmetry = No. 123; energy relative to the elements = -405.84 kJ per mole of atoms; crystal system = tetragonal
1.0
3.7803 0.0000 0.0000
0.0000 3.7803 0.0000
0.0000 0.0000 5.3157
Lu Pa O
1 1 4
direct
0.0000 0.0000 0.0000 Lu
0.5000 0.5000 0.5000 Pa
0.0000 0.5000 0.2543 O
0.0000 0.5000 0.7457 O
0.5000 0.0000 0.2543 O
0.5000 0.0000 0.7457 O


[12]
Lu2Pb2O7 | the Materials Project | GGA-PBE | optimized geometry; total magnetization = 0.00 μB/f.u.; symmetry = No. 227; energy relative to the elements = -244.73 kJ per mole of atoms; crystal system = cubic
1.0
0.0000 5.3234 5.3234
5.3234 0.0000 5.3234
5.3234 5.3234 0.0000
Lu Pb O
4 4 14
direct
0.0000 0.0000 0.0000 Lu
0.0000 0.0000 0.5000 Lu
0.0000 0.5000 0.0000 Lu
0.5000 0.0000 0.0000 Lu
0.0000 0.5000 0.5000 Pb
0.5000 0.0000 0.5000 Pb
0.5000 0.5000 0.0000 Pb
0.5000 0.5000 0.5000 Pb
0.1250 0.1250 0.1250 O
0.1461 0.1461 0.6039 O
0.1461 0.6039 0.1461 O
0.1461 0.6039 0.6039 O
0.3961 0.3961 0.8539 O
0.3961 0.8539 0.3961 O
0.3961 0.8539 0.8539 O
0.6039 0.1461 0.1461 O
0.6039 0.1461 0.6039 O
0.6039 0.6039 0.1461 O
0.8539 0.3961 0.3961 O
0.8539 0.3961 0.8539 O
0.8539 0.8539 0.3961 O
0.8750 0.8750 0.8750 O